Record 1
# LiMg5 | the Materials Project | PBE | optimized geometry
# E above lowest polymorph, meV/atom: 17
# Crystal system: hexagonal
# Energy relative to the elements, eV/atom: -0.023
data_LiMg5
_chemical_formula_sum 'Li1 Mg5'
_cell_length_a 5.4704
_cell_length_b 5.4704
_cell_length_c 5.1334
_cell_angle_alpha 90.00
_cell_angle_beta 90.00
_cell_angle_gamma 120.00
_symmetry_space_group_name_H-M 'P -6 2 m'
_symmetry_Int_Tables_number 189
_symmetry_space_group_name_Hall 'P -6 -2'
loop_
_atom_site_label
_atom_site_type_symbol
_atom_site_fract_x
_atom_site_fract_y
_atom_site_fract_z
_atom_site_occupancy
Li1 Li 0.0000 0.0000 0.0000 1
Mg1 Mg 0.0000 0.6678 0.5000 1
Mg2 Mg 0.3333 0.6667 0.0000 1

---

Record 2
# Pr3Mn4Sn4 | the Materials Project | PBE | optimized geometry
# Crystal system: orthorhombic
# Energy relative to the elements, eV/atom: -0.284
data_Pr3Mn4Sn4
_chemical_formula_sum 'Pr6 Mn8 Sn8'
_cell_length_a 4.647
_cell_length_b 7.435
_cell_length_c 15.250
_cell_angle_alpha 90.00
_cell_angle_beta 90.00
_cell_angle_gamma 90.00
_symmetry_space_group_name_H-M 'I m m m'
_symmetry_Int_Tables_number 71
_symmetry_space_group_name_Hall '-I 2 2'
loop_
_atom_site_label
_atom_site_type_symbol
_atom_site_fract_x
_atom_site_fract_y
_atom_site_fract_z
_atom_site_occupancy
Pr1 Pr 0.000 0.000 0.000 1
Pr2 Pr 0.000 0.500 0.128 1
Mn1 Mn 0.000 0.314 0.328 1
Sn1 Sn 0.000 0.000 0.216 1
Sn2 Sn 0.000 0.199 0.500 1

---

Record 3
# CsRbMg14 | the Materials Project | PBE | optimized geometry
# E above lowest polymorph, meV/atom: 0
# Crystal system: orthorhombic
# Energy relative to the elements, eV/atom: 0.210
data_CsRbMg14
_chemical_formula_sum 'Cs2 Rb2 Mg28'
_cell_length_a 11.293
_cell_length_b 6.697
_cell_length_c 11.703
_cell_angle_alpha 90.00
_cell_angle_beta 90.00
_cell_angle_gamma 90.00
_symmetry_space_group_name_H-M 'A m m 2'
_symmetry_Int_Tables_number 38
_symmetry_space_group_name_Hall 'A 2 -2'
loop_
_atom_site_label
_atom_site_type_symbol
_atom_site_fract_x
_atom_site_fract_y
_atom_site_fract_z
_atom_site_occupancy
Cs1 Cs 0.000 0.000 0.000 1
Rb1 Rb 0.000 0.000 0.503 1
Mg1 Mg 0.000 0.247 0.252 1
Mg2 Mg 0.254 0.000 0.745 1
Mg3 Mg 0.255 0.000 0.247 1
Mg4 Mg 0.298 0.247 0.495 1
Mg5 Mg 0.500 0.000 0.093 1
Mg6 Mg 0.500 0.000 0.593 1
Mg7 Mg 0.500 0.250 0.321 1

---

Record 4
# CaSn4O8 | the Materials Project | PBE | optimized geometry
# E above lowest polymorph, meV/atom: 0
# Crystal system: monoclinic
# Energy relative to the elements, eV/atom: -2.104
data_CaSn4O8
_chemical_formula_sum 'Ca2 Sn8 O16'
_cell_length_a 15.322
_cell_length_b 3.281
_cell_length_c 10.020
_cell_angle_alpha 90.00
_cell_angle_beta 126.93
_cell_angle_gamma 90.00
_symmetry_space_group_name_H-M 'C 1 m 1'
_symmetry_Int_Tables_number 8
_symmetry_space_group_name_Hall 'C -2y'
loop_
_atom_site_label
_atom_site_type_symbol
_atom_site_fract_x
_atom_site_fract_y
_atom_site_fract_z
_atom_site_occupancy
Ca1 Ca 0.000 0.000 0.000 1
Sn1 Sn 0.012 0.500 0.670 1
Sn2 Sn 0.026 0.000 0.345 1
Sn3 Sn 0.232 0.500 0.393 1
Sn4 Sn 0.252 0.000 0.043 1
O1 O 0.024 0.500 0.883 1
O2 O 0.057 0.500 0.226 1
O3 O 0.115 0.000 0.739 1
O4 O 0.198 0.000 0.497 1
O5 O 0.227 0.000 0.256 1
O6 O 0.376 0.500 0.108 1
O7 O 0.397 0.500 0.569 1
O8 O 0.495 0.000 0.437 1

---

Record 5
# Te2Ir | the Materials Project | PBE | optimized geometry
# Crystal system: cubic
# Energy relative to the elements, eV/atom: -0.227
data_Te2Ir
_chemical_formula_sum 'Te8 Ir4'
_cell_length_a 6.543
_cell_length_b 6.543
_cell_length_c 6.543
_cell_angle_alpha 90.00
_cell_angle_beta 90.00
_cell_angle_gamma 90.00
_symmetry_space_group_name_H-M 'P a -3'
_symmetry_Int_Tables_number 205
_symmetry_space_group_name_Hall '-P 2ac 2ab 3'
loop_
_atom_site_label
_atom_site_type_symbol
_atom_site_fract_x
_atom_site_fract_y
_atom_site_fract_z
_atom_site_occupancy
Te1 Te 0.133 0.133 0.133 1
Ir1 Ir 0.000 0.000 0.500 1

---

Record 6
# Ce6Th4O19 | the Materials Project | PBE | optimized geometry
# Crystal system: monoclinic
# Energy relative to the elements, eV/atom: -4.232
data_Ce6Th4O19
_chemical_formula_sum 'Ce12 Th8 O38'
_cell_length_a 6.818
_cell_length_b 19.566
_cell_length_c 6.815
_cell_angle_alpha 90.00
_cell_angle_beta 109.34
_cell_angle_gamma 90.00
_symmetry_space_group_name_H-M 'C 1 m 1'
_symmetry_Int_Tables_number 8
_symmetry_space_group_name_Hall 'C -2y'
loop_
_atom_site_label
_atom_site_type_symbol
_atom_site_fract_x
_atom_site_fract_y
_atom_site_fract_z
_atom_site_occupancy
Ce1 Ce 0.000 0.000 0.000 1
Ce2 Ce 0.000 0.106 0.470 1
Ce3 Ce 0.470 0.000 0.471 1
Ce4 Ce 0.499 0.097 0.973 1
Th1 Th 0.001 0.303 0.476 1
Th2 Th 0.495 0.301 0.971 1
O1 O 0.096 0.092 0.830 1
O2 O 0.102 0.000 0.368 1
O3 O 0.121 0.201 0.346 1
O4 O 0.125 0.301 0.850 1
O5 O 0.137 0.500 0.834 1
O6 O 0.142 0.409 0.375 1
O7 O 0.366 0.000 0.104 1
O8 O 0.366 0.100 0.600 1
O9 O 0.372 0.194 0.097 1
O10 O 0.372 0.399 0.105 1
O11 O 0.375 0.298 0.598 1

---

Record 7
# IrN4Cl4 | the Materials Project | PBE | optimized geometry
# Crystal system: triclinic
# Energy relative to the elements, eV/atom: 0.819
data_IrN4Cl4
_chemical_formula_sum 'Ir1 N4 Cl4'
_cell_length_a 5.637
_cell_length_b 6.142
_cell_length_c 7.404
_cell_angle_alpha 112.00
_cell_angle_beta 108.22
_cell_angle_gamma 92.78
_symmetry_space_group_name_H-M 'P 1'
_symmetry_Int_Tables_number 1
_symmetry_space_group_name_Hall 'P 1'
loop_
_atom_site_label
_atom_site_type_symbol
_atom_site_fract_x
_atom_site_fract_y
_atom_site_fract_z
_atom_site_occupancy
Ir1 Ir 0.000 0.000 0.000 1
N1 N 0.169 0.227 0.552 1
N2 N 0.232 0.930 0.175 1
N3 N 0.864 0.235 0.119 1
N4 N 0.971 0.902 0.702 1
Cl1 Cl 0.191 0.932 0.619 1
Cl2 Cl 0.338 0.337 0.095 1
Cl3 Cl 0.671 0.682 0.888 1
Cl4 Cl 0.919 0.309 0.593 1

---

Record 8
# CaAl8Fe4 | the Materials Project | PBE | optimized geometry
# Crystal system: tetragonal
# Energy relative to the elements, eV/atom: -0.349
data_CaAl8Fe4
_chemical_formula_sum 'Ca2 Al16 Fe8'
_cell_length_a 8.765
_cell_length_b 8.765
_cell_length_c 5.100
_cell_angle_alpha 90.00
_cell_angle_beta 90.00
_cell_angle_gamma 90.00
_symmetry_space_group_name_H-M 'I 4/m m m'
_symmetry_Int_Tables_number 139
_symmetry_space_group_name_Hall '-I 4 2'
loop_
_atom_site_label
_atom_site_type_symbol
_atom_site_fract_x
_atom_site_fract_y
_atom_site_fract_z
_atom_site_occupancy
Ca1 Ca 0.000 0.000 0.000 1
Al1 Al 0.000 0.228 0.500 1
Al2 Al 0.000 0.338 0.000 1
Fe1 Fe 0.250 0.250 0.250 1

---

Record 9
# Y3Mg | the Materials Project | PBE | optimized geometry
# Crystal system: orthorhombic
# Energy relative to the elements, eV/atom: 0.039
data_Y3Mg
_chemical_formula_sum 'Y3 Mg1'
_cell_length_a 3.563
_cell_length_b 5.627
_cell_length_c 6.082
_cell_angle_alpha 90.00
_cell_angle_beta 90.00
_cell_angle_gamma 90.00
_symmetry_space_group_name_H-M 'P m m 2'
_symmetry_Int_Tables_number 25
_symmetry_space_group_name_Hall 'P 2 -2'
loop_
_atom_site_label
_atom_site_type_symbol
_atom_site_fract_x
_atom_site_fract_y
_atom_site_fract_z
_atom_site_occupancy
Y1 Y 0.000 0.000 0.000 1
Y2 Y 0.000 0.500 0.343 1
Y3 Y 0.500 0.000 0.505 1
Mg1 Mg 0.500 0.500 0.833 1

---

Record 10
# Mg2H2O3 | the Materials Project | PBE | optimized geometry
# Crystal system: trigonal
# Energy relative to the elements, eV/atom: -2.288
data_Mg2H2O3
_chemical_formula_sum 'Mg2 H2 O3'
_cell_length_a 3.0996
_cell_length_b 3.0996
_cell_length_c 7.5370
_cell_angle_alpha 90.00
_cell_angle_beta 90.00
_cell_angle_gamma 120.00
_symmetry_space_group_name_H-M 'P -3 m 1'
_symmetry_Int_Tables_number 164
_symmetry_space_group_name_Hall '-P 3 2"'
loop_
_atom_site_label
_atom_site_type_symbol
_atom_site_fract_x
_atom_site_fract_y
_atom_site_fract_z
_atom_site_occupancy
Mg1 Mg 0.3333 0.6667 0.1629 1
H1 H 0.3333 0.6667 0.5688 1
O1 O 0.0000 0.0000 0.0000 1
O2 O 0.3333 0.6667 0.6973 1

---

Record 11
# GaAs2W | the Materials Project | PBE | optimized geometry
# Crystal system: cubic
# Energy relative to the elements, eV/atom: 0.681
data_GaAs2W
_chemical_formula_sum 'Ga4 As8 W4'
_cell_length_a 6.481
_cell_length_b 6.481
_cell_length_c 6.481
_cell_angle_alpha 90.00
_cell_angle_beta 90.00
_cell_angle_gamma 90.00
_symmetry_space_group_name_H-M 'F -4 3 m'
_symmetry_Int_Tables_number 216
_symmetry_space_group_name_Hall 'F -4 2 3'
loop_
_atom_site_label
_atom_site_type_symbol
_atom_site_fract_x
_atom_site_fract_y
_atom_site_fract_z
_atom_site_occupancy
Ga1 Ga 0.000 0.000 0.000 1
As1 As 0.000 0.000 0.500 1
As2 As 0.250 0.250 0.250 1
W1 W 0.250 0.250 0.750 1

---

Record 12
# K2Mo15Se19 | the Materials Project | PBE | optimized geometry
# Crystal system: trigonal
# Energy relative to the elements, eV/atom: -0.851
data_K2Mo15Se19
_chemical_formula_sum 'K12 Mo90 Se114'
_cell_length_a 9.9014
_cell_length_b 9.9014
_cell_length_c 58.6678
_cell_angle_alpha 90.00
_cell_angle_beta 90.00
_cell_angle_gamma 120.00
_symmetry_space_group_name_H-M 'R -3 c'
_symmetry_Int_Tables_number 167
_symmetry_space_group_name_Hall '-R 3 2"c'
loop_
_atom_site_label
_atom_site_type_symbol
_atom_site_fract_x
_atom_site_fract_y
_atom_site_fract_z
_atom_site_occupancy
K1 K 0.0000 0.0000 0.1148 1
Mo1 Mo 0.0000 0.1574 0.2500 1
Mo2 Mo 0.0119 0.1609 0.7108 1
Mo3 Mo 0.0217 0.1668 0.9806 1
Se1 Se 0.0000 0.0000 0.0541 1
Se2 Se 0.0000 0.0000 0.1761 1
Se3 Se 0.0000 0.3039 0.7500 1
Se4 Se 0.0109 0.3824 0.6833 1
Se5 Se 0.0167 0.3748 0.9524 1

---

What is the energy relative to the elements in the fifth record?
-0.227 eV/atom

---

Number 1 is which compound?
LiMg5

---

What is the formula in the seventh record?
IrN4Cl4